[1]
Here is an optimized crystal structure of ZnCu3 from Materials Project. Energies are from GGA-PBE.

Summary:
Theoretical density ... 8.6 g/cm3
Space group ... P-6m2
Electronic total energy ... -13.6 eV/f.u.
V ... 12.33 Å³/atom
Energy of formation ... -21 meV per atom

a b c (Å): 2.609 2.609 8.366
angles (deg): 90.00 90.00 120.00
Element x y z (fractional)
Zn  0.000  0.000  0.000
Cu  0.000  0.000  0.500
Cu  0.667  0.333  0.254
Cu  0.667  0.333  0.746



[2]
Here is an optimized crystal structure of ZnCu from Materials Project. Energies are from GGA-PBE.

Summary:
Theoretical density ... 8.2 g/cm3
Space group ... Cmmm
Electronic total energy ... -5.5 eV/f.u.
V ... 13.07 Å³/atom
Energy of formation ... -52 meV per atom

a b c (Å): 2.976 4.243 4.141
angles (deg): 90.00 90.00 90.00
Element x y z (fractional)
Zn  0.000  0.000  0.000
Zn  0.500  0.500  0.000
Cu  0.000  0.500  0.500
Cu  0.500  0.000  0.500